Entry 1:
Entry from Materials Project: a geometry-optimized CeNiC2 structure (meta-GGA r2SCAN).

Computed properties:
ρ ... 7.01 Mg/m³
Energy of formation from the pure elements ... -0.338 eV per atom

Geometry as CIF:
```
data_CeNiC2
_symmetry_space_group_name_H-M 'A m m 2'
_symmetry_Int_Tables_number 38
_cell_length_a 3.8631
_cell_length_b 4.5090
_cell_length_c 6.0589
_cell_angle_alpha 90.00
_cell_angle_beta 90.00
_cell_angle_gamma 90.00
loop_
_symmetry_equiv_pos_as_xyz
'x,y,z'
'-x,-y,z'
'-x,y,z'
'x,-y,z'
'x,y+1/2,z+1/2'
'-x,-y+1/2,z+1/2'
'-x,y+1/2,z+1/2'
'x,-y+1/2,z+1/2'
loop_
_atom_site_label
_atom_site_fract_x
_atom_site_fract_y
_atom_site_fract_z
Ce1 0.0000 0.0000 0.0000
Ni1 0.5000 0.0000 0.6055
C1 0.5000 0.1526 0.2963
```

---

Entry 2:
Entry from Materials Project: a geometry-optimized BaCa3 structure (meta-GGA r2SCAN).

Computed properties:
ρ ... 2.18 Mg/m³
Energy of formation from the pure elements ... 0.020 eV per atom

Geometry as CIF:
```
data_BaCa3
_symmetry_space_group_name_H-M 'P 63/m m c'
_symmetry_Int_Tables_number 194
_symmetry_space_group_name_Hall '-P 6c 2c'
_cell_length_a 8.2314
_cell_length_b 8.2314
_cell_length_c 6.6878
_cell_angle_alpha 90.00
_cell_angle_beta 90.00
_cell_angle_gamma 120.00
loop_
_atom_site_label
_atom_site_fract_x
_atom_site_fract_y
_atom_site_fract_z
Ba1 0.3333 0.6667 0.2500
Ca1 0.1615 0.3230 0.7500
```

---

Entry 3:
Entry from Materials Project: a geometry-optimized MgH22SO15 structure (meta-GGA r2SCAN).

Computed properties:
ρ ... 1.56 Mg/m³
Energy of formation from the pure elements ... -1.225 eV per atom

Geometry as CIF:
```
data_MgH22SO15
_symmetry_space_group_name_H-M 'P -1'
_symmetry_Int_Tables_number 2
_cell_length_a 6.6283
_cell_length_b 6.7006
_cell_length_c 17.1984
_cell_angle_alpha 88.01
_cell_angle_beta 89.34
_cell_angle_gamma 62.83
loop_
_symmetry_equiv_pos_as_xyz
'x,y,z'
'-x,-y,-z'
loop_
_atom_site_label
_atom_site_fract_x
_atom_site_fract_y
_atom_site_fract_z
Mg1 0.0000 0.0000 0.0000
Mg2 0.0000 0.0000 0.5000
H1 0.0254 0.5785 0.2154
H2 0.0457 0.0349 0.6569
H3 0.0680 0.7428 0.7412
H4 0.0830 0.9054 0.8431
H5 0.1141 0.5916 0.5733
H6 0.1333 0.1913 0.6121
H7 0.1513 0.2699 0.4221
H8 0.1635 0.0348 0.2609
H9 0.2003 0.6654 0.1039
H10 0.2262 0.2560 0.9748
H11 0.2403 0.5733 0.9229
H12 0.2593 0.5805 0.2325
H13 0.2875 0.4079 0.8568
H14 0.2924 0.1392 0.0582
H15 0.3089 0.8711 0.8841
H16 0.3360 0.2977 0.1594
H17 0.4051 0.6822 0.0634
H18 0.4123 0.3676 0.3532
H19 0.4378 0.8128 0.5404
H20 0.4401 0.1239 0.3411
H21 0.4526 0.7649 0.4511
H22 0.4630 0.0424 0.1829
S1 0.4082 0.3198 0.7005
O1 0.0007 0.9058 0.7463
O2 0.0143 0.2702 0.4448
O3 0.0442 0.1102 0.6070
O4 0.1579 0.8781 0.8943
O5 0.1703 0.5541 0.1922
O6 0.1978 0.1577 0.0123
O7 0.2182 0.4380 0.7550
O8 0.2450 0.7183 0.0558
O9 0.3095 0.4126 0.9128
O10 0.3183 0.3289 0.6218
O11 0.3468 0.8251 0.4939
O12 0.3970 0.2422 0.3789
O13 0.4381 0.1483 0.1388
O14 0.4400 0.5757 0.3002
O15 0.4644 0.9188 0.2725
```

---

Entry 4:
Entry from Materials Project: a geometry-optimized ThGa structure (meta-GGA r2SCAN).

Computed properties:
ρ ... 9.71 Mg/m³
Energy of formation from the pure elements ... -0.609 eV per atom

Geometry as CIF:
```
data_ThGa
_symmetry_space_group_name_H-M 'P n m a'
_symmetry_Int_Tables_number 62
_cell_length_a 16.4423
_cell_length_b 4.1331
_cell_length_c 6.0737
_cell_angle_alpha 90.00
_cell_angle_beta 90.00
_cell_angle_gamma 90.00
loop_
_symmetry_equiv_pos_as_xyz
'x,y,z'
'-x,-y,-z'
'-x+1/2,-y,z+1/2'
'x+1/2,y,-z+1/2'
'x+1/2,-y+1/2,-z+1/2'
'-x+1/2,y+1/2,z+1/2'
'-x,y+1/2,-z'
'x,-y+1/2,z'
loop_
_atom_site_label
_atom_site_fract_x
_atom_site_fract_y
_atom_site_fract_z
Th1 0.0361 0.2500 0.2500
Th2 0.2138 0.7500 0.0129
Ga1 0.1069 0.2500 0.7539
Ga2 0.1429 0.7500 0.5057
```

---

Entry 5:
Entry from Materials Project: a geometry-optimized Y3Co structure (meta-GGA r2SCAN).

Computed properties:
ρ ... 5.12 Mg/m³
Energy of formation from the pure elements ... -0.039 eV per atom

Geometry as CIF:
```
data_Y3Co
_symmetry_space_group_name_H-M 'P n m a'
_symmetry_Int_Tables_number 62
_cell_length_a 6.9909
_cell_length_b 9.5466
_cell_length_c 6.3347
_cell_angle_alpha 90.00
_cell_angle_beta 90.00
_cell_angle_gamma 90.00
loop_
_symmetry_equiv_pos_as_xyz
'x,y,z'
'-x,-y,-z'
'-x+1/2,-y,z+1/2'
'x+1/2,y,-z+1/2'
'x+1/2,-y+1/2,-z+1/2'
'-x+1/2,y+1/2,z+1/2'
'-x,y+1/2,-z'
'x,-y+1/2,z'
loop_
_atom_site_label
_atom_site_fract_x
_atom_site_fract_y
_atom_site_fract_z
Y1 0.0447 0.2500 0.1405
Y2 0.1741 0.0691 0.6786
Co1 0.1128 0.7500 0.4555
```

---

Entry 6:
Entry from Materials Project: a geometry-optimized VPO5 structure (meta-GGA r2SCAN).

Computed properties:
ρ ... 3.44 Mg/m³
ΔE to the lowest computed polymorph ... 0 meV per atom
Energy of formation from the pure elements ... -2.427 eV per atom

Geometry as CIF:
```
data_VPO5
_symmetry_space_group_name_H-M 'P 4/n'
_symmetry_Int_Tables_number 85
_cell_length_a 6.0250
_cell_length_b 6.0250
_cell_length_c 4.3108
_cell_angle_alpha 90.00
_cell_angle_beta 90.00
_cell_angle_gamma 90.00
loop_
_symmetry_equiv_pos_as_xyz
'x,y,z'
'-x,-y,-z'
'-y+1/2,x,z'
'y+1/2,-x,-z'
'-x+1/2,-y+1/2,z'
'x+1/2,y+1/2,-z'
'y,-x+1/2,z'
'-y,x+1/2,-z'
loop_
_atom_site_label
_atom_site_fract_x
_atom_site_fract_y
_atom_site_fract_z
V1 0.2500 0.2500 0.2078
P1 0.2500 0.7500 0.5000
O1 0.0503 0.7996 0.7063
O2 0.2500 0.2500 0.8374
```

---

Entry 7:
Entry from Materials Project: a geometry-optimized Ho3Lu structure (meta-GGA r2SCAN).

Computed properties:
ρ ... 9.03 Mg/m³
Energy of formation from the pure elements ... 0.002 eV per atom

Geometry as CIF:
```
data_Ho3Lu
_symmetry_space_group_name_H-M 'P 63/m m c'
_symmetry_Int_Tables_number 194
_symmetry_space_group_name_Hall '-P 6c 2c'
_cell_length_a 7.1691
_cell_length_b 7.1691
_cell_length_c 5.5325
_cell_angle_alpha 90.00
_cell_angle_beta 90.00
_cell_angle_gamma 120.00
loop_
_atom_site_label
_atom_site_fract_x
_atom_site_fract_y
_atom_site_fract_z
Ho1 0.1676 0.3352 0.2500
Lu1 0.3333 0.6667 0.7500
```

---

Entry 8:
Entry from Materials Project: a geometry-optimized Ti2Bi structure (meta-GGA r2SCAN).

Computed properties:
ρ ... 8.21 Mg/m³
Energy of formation from the pure elements ... -0.174 eV per atom

Geometry as CIF:
```
data_Ti2Bi
_symmetry_space_group_name_H-M 'I 4/m m m'
_symmetry_Int_Tables_number 139
_symmetry_space_group_name_Hall '-I 4 2'
_cell_length_a 4.1612
_cell_length_b 4.1612
_cell_length_c 14.2401
_cell_angle_alpha 90.00
_cell_angle_beta 90.00
_cell_angle_gamma 90.00
loop_
_atom_site_label
_atom_site_fract_x
_atom_site_fract_y
_atom_site_fract_z
Ti1 0.0000 0.0000 0.1466
Ti2 0.0000 0.5000 0.0000
Bi1 0.0000 0.0000 0.3520
```

---

Which value of ρ does entry 8 give? 8.21 Mg/m³

---

Copy entry 5 word for word.
Entry from Materials Project: a geometry-optimized Y3Co structure (meta-GGA r2SCAN).

Computed properties:
ρ ... 5.12 Mg/m³
Energy of formation from the pure elements ... -0.039 eV per atom

Geometry as CIF:
```
data_Y3Co
_symmetry_space_group_name_H-M 'P n m a'
_symmetry_Int_Tables_number 62
_cell_length_a 6.9909
_cell_length_b 9.5466
_cell_length_c 6.3347
_cell_angle_alpha 90.00
_cell_angle_beta 90.00
_cell_angle_gamma 90.00
loop_
_symmetry_equiv_pos_as_xyz
'x,y,z'
'-x,-y,-z'
'-x+1/2,-y,z+1/2'
'x+1/2,y,-z+1/2'
'x+1/2,-y+1/2,-z+1/2'
'-x+1/2,y+1/2,z+1/2'
'-x,y+1/2,-z'
'x,-y+1/2,z'
loop_
_atom_site_label
_atom_site_fract_x
_atom_site_fract_y
_atom_site_fract_z
Y1 0.0447 0.2500 0.1405
Y2 0.1741 0.0691 0.6786
Co1 0.1128 0.7500 0.4555
```

---

Among the records above, which one has the lowest ρ? MgH22SO15